A plane-wave DFT calculation with GGA-PBE was carried out for crystalline Ba2Bi2F11 at its relaxed geometry.

Properties
MP2020-corrected energy	-79.6	eV/f.u.
ρ	5.4	g cm⁻³

Unit cell a=7.887 b=7.887 c=15.397 alpha=90.00 beta=90.00 gamma=120.00
Fractional coordinates of all 45 atoms:
Ba (0.135, 0.410, 0.000)
Ba (0.275, 0.865, 0.333)
Ba (0.520, 0.157, 0.836)
Ba (0.590, 0.725, 0.667)
Ba (0.637, 0.480, 0.169)
Ba (0.843, 0.363, 0.502)
Bi (0.030, 0.558, 0.747)
Bi (0.197, 0.045, 0.580)
Bi (0.442, 0.472, 0.413)
Bi (0.528, 0.970, 0.080)
Bi (0.847, 0.803, 0.913)
Bi (0.955, 0.153, 0.246)
F (0.006, 0.434, 0.198)
F (0.032, 0.724, 0.604)
F (0.128, 0.070, 0.921)
F (0.179, 0.091, 0.440)
F (0.179, 0.477, 0.651)
F (0.229, 0.558, 0.455)
F (0.276, 0.119, 0.713)
F (0.276, 0.308, 0.271)
F (0.298, 0.821, 0.984)
F (0.326, 0.003, 0.163)
F (0.329, 0.771, 0.789)
F (0.402, 0.345, 0.044)
F (0.422, 0.350, 0.561)
F (0.429, 0.994, 0.531)
F (0.442, 0.671, 0.122)
F (0.523, 0.702, 0.318)
F (0.563, 0.272, 0.372)
F (0.566, 0.571, 0.865)
F (0.650, 0.072, 0.228)
F (0.655, 0.057, 0.710)
F (0.677, 0.674, 0.497)
F (0.692, 0.968, 0.937)
F (0.709, 0.437, 0.705)
F (0.728, 0.291, 0.038)
F (0.843, 0.724, 0.047)
F (0.881, 0.157, 0.380)
F (0.909, 0.088, 0.106)
F (0.912, 0.821, 0.773)
F (0.928, 0.578, 0.894)
F (0.930, 0.057, 0.587)
F (0.943, 0.598, 0.377)
F (0.943, 0.872, 0.254)
F (0.997, 0.323, 0.830)